{
  "formula": "Sr2MgGaSbO6",
  "functional": "PBE",
  "state": "optimized geometry",
  "cell": [[4.864, 0.989, -3.577], [-1.039, 5.335, -4.334], [-0.002, -0.755, 7.208]],
  "species": ["Sr", "Sr", "Mg", "Ga", "Sb", "O", "O", "O", "O", "O", "O"],
  "frac_coords": [[0.327, 0.819, 0.582], [0.673, 0.181, 0.418], [0.000, 0.500, 0.500], [0.000, 0.000, 0.000], [0.500, 0.500, 0.000], [0.812, 0.672, 0.746], [0.319, 0.789, 0.918], [0.681, 0.211, 0.082], [0.188, 0.328, 0.254], [0.180, 0.198, 0.556], [0.820, 0.802, 0.444]],
  "relative_energy_mev_per_atom": 0.0,
  "total_energy_ev_per_fu": -63.8,
  "delta_e_f_ev_per_atom": -2.376
}